VASP calculation (GGA-PBE) on ZnSbAsO5 after structural relaxation.

The structure in CIF format:
```
data_ZnSbAsO5
_chemical_formula_sum 'Zn4 Sb4 As4 O20'
_space_group_name_H-M_alt 'P 1'
_space_group_IT_number 1
_space_group_name_Hall 'P 1'
_cell_length_a 7.511
_cell_length_b 7.830
_cell_length_c 8.760
_cell_angle_alpha 90.00
_cell_angle_beta 90.00
_cell_angle_gamma 90.00
loop_
_atom_site_label
_atom_site_type_symbol
_atom_site_fract_x
_atom_site_fract_y
_atom_site_fract_z
Zn1 Zn 0.116 0.758 0.675
Zn2 Zn 0.384 0.242 0.175
Zn3 Zn 0.884 0.258 0.825
Zn4 Zn 0.616 0.742 0.325
Sb1 Sb 0.272 0.724 0.005
Sb2 Sb 0.228 0.276 0.505
Sb3 Sb 0.728 0.224 0.495
Sb4 Sb 0.772 0.776 0.995
As1 As 0.450 0.118 0.841
As2 As 0.050 0.882 0.341
As3 As 0.550 0.618 0.659
As4 As 0.950 0.382 0.159
O1 O 0.445 0.927 0.944
O2 O 0.055 0.073 0.444
O3 O 0.555 0.427 0.556
O4 O 0.945 0.573 0.056
O5 O 0.431 0.283 0.970
O6 O 0.069 0.717 0.470
O7 O 0.569 0.783 0.530
O8 O 0.931 0.217 0.030
O9 O 0.658 0.129 0.758
O10 O 0.842 0.871 0.258
O11 O 0.342 0.629 0.742
O12 O 0.158 0.371 0.242
O13 O 0.285 0.121 0.704
O14 O 0.215 0.879 0.204
O15 O 0.715 0.621 0.796
O16 O 0.785 0.379 0.296
O17 O 0.075 0.826 0.876
O18 O 0.425 0.174 0.376
O19 O 0.925 0.326 0.624
O20 O 0.575 0.674 0.124
```

Computed properties:
As for the space-group type: No. 19. As for the total magnetization: 0.00 μB per atom. As for the piezoelectric modulus e_max: 0.53 C/m2. The calculation puts the formation enthalpy at 0 K at -1.670 eV/atom. For the energy with MP2020 corrections, the calculation gives -6.018 eV per atom. The volume is 128.8 Å³/f.u.